i | Density functional theory data (PBE) for a relaxed structure of CsNaMg6.

Computed properties:
Density in Mg/m³: 2.1

POSCAR file:
```
CsNaMg6
1.0
-3.613 2.018 -3.493
0.109 -6.369 -3.793
-8.951 -4.216 6.822
Mg Cs Na
12 2 2
Cartesian
-5.032 -6.935 1.199
-0.548 -5.325 -2.509
-5.567 -2.271 0.248
-7.397 -6.695 3.783
-7.672 -4.964 0.869
-3.251 0.328 -0.645
-2.977 -1.402 2.269
-9.988 -7.564 1.763
-5.509 -5.647 -1.762
-5.078 -4.248 2.798
-10.039 -4.571 3.545
-0.611 -1.642 -0.316
-3.308 -2.909 -2.457
-7.838 -1.832 2.851
-3.027 -4.636 0.453
-7.558 -3.560 5.760
```



ii | Density functional theory data (PBE) for a relaxed structure of CsNaMg6.

Computed properties:
Density in Mg/m³: 2.1

POSCAR file:
```
CsNaMg6
1.0
3.400 -6.098 0.000
3.400 6.098 0.000
0.000 0.000 5.798
Mg Na Cs
6 1 1
Cartesian
3.400 4.172 0.000
1.678 -1.002 2.899
1.635 0.931 0.000
5.121 -1.002 2.899
3.400 -2.006 0.000
5.165 0.931 0.000
3.400 -4.063 2.899
3.400 2.038 2.899
```



The winner here is i, beating the second structure by 25 meV per atom.



i | Density functional theory data (PBE) for a relaxed structure of CsNaMg14.

Computed properties:
Density in Mg/m³: 2.0

POSCAR file:
```
CsNaMg14
1.0
-2.788 4.828 -3.702
-0.169 -6.350 -2.106
-9.406 -1.465 5.174
Mg Na Cs
14 1 1
Cartesian
-10.633 -1.486 0.020
-7.789 0.201 0.078
-4.459 -3.223 -0.845
-9.440 -3.998 1.895
-4.370 0.124 0.265
-5.689 2.408 -1.486
-7.874 -3.008 -0.986
-3.086 0.932 -2.510
-9.350 -0.651 3.004
-6.495 -5.397 0.845
-5.998 -0.764 -2.530
-10.669 1.632 1.253
-1.791 -4.665 -1.740
-3.171 -2.274 -3.573
-1.697 -1.495 -0.672
-6.400 -2.227 1.915
```



ii | Density functional theory data (PBE) for a relaxed structure of CsNaMg14.

Computed properties:
Density in Mg/m³: 2.0

POSCAR file:
```
CsNaMg14
1.0
-4.493 3.282 -3.654
-1.843 -2.679 5.603
2.505 9.293 5.268
Mg Cs Na
14 1 1
Cartesian
-2.974 5.764 5.529
-0.633 7.256 6.964
-3.924 4.567 2.766
-3.091 5.784 -0.123
0.226 5.453 4.555
-0.700 4.116 7.356
-2.757 8.899 5.222
-4.214 1.120 2.885
-0.868 4.352 1.838
0.268 8.565 4.226
-3.298 2.453 0.098
-1.768 3.043 4.576
-2.050 7.108 2.719
-1.847 10.398 2.492
-1.959 -0.529 4.721
-1.060 0.819 1.916
```



The winner here is ii, beating the second structure by 32 meV per atom.



i | Density functional theory data (PBE) for a relaxed structure of CsMg6Nb.

Computed properties:
Density in Mg/m³: 2.9

POSCAR file:
```
CsMg6Nb
1.0
-3.549 5.603 2.758
1.692 -2.191 6.628
3.473 2.267 -0.137
Mg Cs Nb
6 1 1
Cartesian
-0.544 1.000 2.750
-2.013 3.320 3.892
2.583 0.038 3.246
-1.313 2.412 6.637
-0.038 3.935 1.311
0.157 0.092 5.495
1.737 1.134 -0.069
0.808 2.840 4.625
```



ii | Density functional theory data (PBE) for a relaxed structure of CsMg6Nb.

Computed properties:
Density in Mg/m³: 3.0

POSCAR file:
```
CsMg6Nb
1.0
5.331 0.000 0.000
0.000 6.929 0.000
0.000 0.000 11.184
Mg Cs Nb
12 2 2
Cartesian
0.000 4.898 1.064
0.000 2.031 1.064
2.666 3.464 7.291
2.666 1.974 10.249
2.666 5.438 4.657
0.000 5.495 6.656
0.000 1.434 6.656
2.666 4.955 10.249
0.000 0.000 3.542
2.666 0.000 1.699
2.666 1.491 4.657
0.000 3.464 9.134
0.000 0.000 9.664
0.000 3.464 4.072
2.666 3.464 1.613
2.666 0.000 7.205
```



The winner here is i, beating the second structure by 119 meV per atom.



i | Density functional theory data (PBE) for a relaxed structure of CsMg14SbO16.

Computed properties:
Density in Mg/m³: 3.9

POSCAR file:
```
CsMg14SbO16
1.0
8.876 0.000 0.000
0.000 9.010 0.000
0.000 0.000 4.565
O Mg Cs Sb
16 14 1 1
Cartesian
6.650 2.259 2.283
4.438 6.682 0.000
0.000 0.000 2.283
4.438 4.505 2.283
2.226 2.259 2.283
6.650 6.751 2.283
4.438 0.000 2.283
0.000 6.565 0.000
0.000 2.446 0.000
2.557 0.000 0.000
2.226 6.751 2.283
2.373 4.505 0.000
6.319 0.000 0.000
0.000 4.505 2.283
6.503 4.505 0.000
4.438 2.328 0.000
2.338 0.000 2.283
6.526 6.794 0.000
2.335 4.505 2.283
0.000 2.209 2.283
6.526 2.217 0.000
4.438 2.246 2.283
2.350 2.217 0.000
2.350 6.794 0.000
4.438 0.000 0.000
4.438 6.764 2.283
4.438 4.505 0.000
6.541 4.505 2.283
0.000 6.802 2.283
6.538 0.000 2.283
0.000 0.000 0.000
0.000 4.505 0.000
```



ii | Density functional theory data (PBE) for a relaxed structure of CsMg14SbO16.

Computed properties:
Density in Mg/m³: 3.9

POSCAR file:
```
CsMg14SbO16
1.0
-3.156 6.521 5.159
3.717 -3.829 7.114
3.814 2.400 -0.701
Mg O Cs Sb
14 16 1 1
Cartesian
2.869 0.209 1.491
1.360 4.255 7.139
-1.578 3.260 2.580
0.138 0.664 3.026
0.423 2.028 9.248
2.023 -1.278 6.632
3.162 1.542 7.652
-0.433 6.033 3.473
1.213 3.550 3.921
1.859 -1.915 3.557
1.090 2.888 0.985
3.015 0.836 4.434
4.662 -1.638 4.923
-1.462 3.969 5.641
-0.525 3.011 7.454
0.329 4.461 2.229
3.893 -0.023 6.272
-2.253 4.654 3.682
1.907 1.200 -0.350
-0.904 1.867 1.477
2.187 2.546 5.786
3.765 -0.715 3.207
1.064 -1.096 2.037
2.653 -2.733 5.078
1.230 0.368 7.953
0.481 5.115 5.301
2.048 1.878 2.740
-0.669 2.323 4.320
1.086 -0.319 4.819
2.327 3.214 8.833
0.000 0.000 0.000
0.281 1.346 6.137
```



The winner here is ii, beating the second structure by 20 meV per atom.



i | Density functional theory data (PBE) for a relaxed structure of CsMg6SbO8.

Computed properties:
Density in Mg/m³: 4.2

POSCAR file:
```
CsMg6SbO8
1.0
9.206 0.000 0.000
0.000 4.790 0.000
0.000 0.000 4.790
Mg O Sb Cs
6 8 1 1
Cartesian
2.228 0.000 2.395
6.978 2.395 0.000
2.228 2.395 0.000
4.603 2.395 2.395
0.000 2.395 2.395
6.978 0.000 2.395
0.000 0.000 2.395
6.858 2.395 2.395
4.603 2.395 0.000
2.526 0.000 0.000
4.603 0.000 2.395
2.348 2.395 2.395
6.680 0.000 0.000
0.000 2.395 0.000
4.603 0.000 0.000
0.000 0.000 0.000
```



ii | Density functional theory data (PBE) for a relaxed structure of CsMg6SbO8.

Computed properties:
Density in Mg/m³: 4.2

POSCAR file:
```
CsMg6SbO8
1.0
9.114 0.000 0.000
0.000 4.786 0.000
0.000 0.000 4.786
Mg O Sb Cs
6 8 1 1
Cartesian
2.506 0.000 2.393
2.506 2.393 0.000
4.557 2.393 2.393
6.608 2.393 0.000
6.608 0.000 2.393
4.557 0.000 0.000
6.689 2.393 2.393
4.557 2.393 0.000
4.557 0.000 2.393
0.000 0.000 2.393
2.425 2.393 2.393
6.464 0.000 0.000
2.650 0.000 0.000
0.000 2.393 0.000
0.000 2.393 2.393
0.000 0.000 0.000
```



The winner here is ii, beating the second structure by 84 meV per atom.



i | Density functional theory data (PBE) for a relaxed structure of CsMg30TiO32.

Computed properties:
Density in Mg/m³: 3.6

POSCAR file:
```
CsMg30TiO32
1.0
8.682 0.000 0.000
0.000 8.671 0.000
0.000 0.000 8.671
Mg O Cs Ti
30 32 1 1
Cartesian
4.341 6.498 2.172
2.221 4.335 2.133
0.000 2.158 6.512
2.198 6.486 0.000
4.341 6.498 6.498
6.462 2.133 4.335
0.000 0.000 4.335
2.221 2.133 4.335
4.341 0.000 4.335
2.221 6.538 4.335
0.000 2.158 2.158
4.341 4.335 0.000
2.198 2.185 0.000
6.484 0.000 2.185
0.000 6.512 2.158
6.484 6.486 0.000
6.484 2.185 0.000
4.341 4.335 4.335
6.484 0.000 6.486
2.198 0.000 2.185
2.198 0.000 6.486
4.341 2.172 6.498
6.462 6.538 4.335
6.462 4.335 2.133
4.341 2.172 2.172
0.000 4.335 0.000
4.341 0.000 0.000
0.000 6.512 6.512
2.221 4.335 6.538
6.462 4.335 6.538
6.520 2.163 2.163
0.000 0.000 2.062
2.230 4.335 0.000
0.000 6.813 4.335
2.230 0.000 4.335
6.452 4.335 0.000
4.341 6.535 0.000
4.341 4.335 6.574
6.520 6.507 6.507
2.162 2.163 2.163
0.000 2.062 0.000
2.476 4.335 4.335
2.162 6.507 2.163
0.000 0.000 6.609
4.341 2.136 0.000
4.341 6.574 4.335
4.341 0.000 6.535
6.206 4.335 4.335
4.341 0.000 2.136
0.000 4.335 6.813
0.000 4.335 1.858
0.000 1.858 4.335
2.162 2.163 6.507
2.162 6.507 6.507
6.520 6.507 2.163
4.341 4.335 2.097
0.000 6.609 0.000
6.525 0.000 0.000
6.452 0.000 4.335
6.520 2.163 6.507
2.158 0.000 0.000
4.341 2.097 4.335
0.000 4.335 4.335
0.000 0.000 0.000
```



ii | Density functional theory data (PBE) for a relaxed structure of CsMg30TiO32.

Computed properties:
Density in Mg/m³: 3.6

POSCAR file:
```
CsMg30TiO32
1.0
-5.326 -4.281 -5.361
-1.056 -6.194 5.996
-6.763 4.319 3.270
Mg O Ti Cs
30 32 1 1
Cartesian
-4.780 -7.846 0.476
-9.587 -3.067 1.433
-6.933 -0.934 4.104
-9.022 0.074 -1.513
-3.910 -0.938 4.633
-5.148 -5.699 2.630
-2.128 -5.714 3.145
-5.861 -1.342 6.894
-8.136 -5.644 2.108
-6.573 -3.078 1.952
-3.558 -3.089 2.472
-4.254 -4.761 -2.510
-5.353 1.635 4.013
-6.462 2.131 1.063
-3.067 -0.037 -0.578
-5.527 -3.547 4.734
-5.009 -0.512 1.797
-2.663 -2.141 -2.681
-1.958 -0.533 2.371
-8.523 -3.544 4.262
-5.627 -2.094 -3.155
-0.528 -3.097 2.998
-7.618 -2.610 -0.830
-7.997 -0.458 1.275
-6.044 0.019 -1.046
-3.191 -5.238 0.318
-6.212 -5.223 -0.199
-1.602 -2.629 0.159
-2.466 -3.510 5.253
-4.622 -2.613 -0.357
-2.928 -3.695 -1.176
-3.683 0.392 3.345
-7.188 -0.901 -2.197
-3.454 -6.780 1.811
-4.518 -6.304 -1.018
-6.829 -4.584 3.410
-7.867 -4.119 0.649
-6.489 -6.793 1.296
-7.792 1.135 -0.201
-5.313 3.393 2.569
-6.316 -1.573 0.495
-2.162 -2.054 3.788
-3.278 -1.521 0.976
-1.351 -1.086 -1.359
-5.658 0.178 5.478
-0.268 -1.571 1.520
-3.975 -3.196 -4.002
-0.788 -4.623 4.476
-4.136 -2.268 5.920
-6.656 0.636 2.609
-8.280 -1.988 2.778
-1.450 0.926 0.701
-5.958 -3.676 -1.722
-4.901 0.938 0.105
-7.188 -2.481 5.626
-3.809 -4.638 3.993
-9.336 -1.519 -0.088
-9.867 -4.635 2.929
-5.278 -2.038 3.255
-4.866 -4.169 1.127
-1.865 -4.171 1.653
-4.297 -1.098 -1.891
0.000 0.000 0.000
-3.381 2.159 1.635
```



The winner here is ii, beating the second structure by 9 meV per atom.